The following is a PBE calculation of a geometry-optimized Hg3Cl2O2 structure, from Materials Project.

Calculated values
- Spin magnetization: 0.0 μB per formula unit
- VASP energy: -2.502 eV/atom

abc: 6.4858 7.1041 6.9579
angles: 90.00 113.75 90.00
Space group P2_1/c (No. 14)
Unique sites:
Hg 0.0000 0.0000 0.0000 x2
Hg 0.4232 0.1360 0.7614 x4
Cl 0.2205 0.6259 0.9608 x4
O 0.3250 0.1039 0.0604 x4